The following is a DFT calculation (PBE with a Hubbard U) of a relaxed structure of KVH2SO7.

Energy relative to the elements (meV per atom): -1952
E_tot (eV/f.u.): -72.67
Space-group type: P2_12_12_1

```
KVH2SO7
1.0
4.722 0.000 0.000
0.000 10.869 0.000
0.000 0.000 11.667
K V H S O
4 4 8 4 28
direct
0.206 0.090 0.088
0.294 0.910 0.588
0.706 0.410 0.912
0.794 0.590 0.412
0.166 0.293 0.400
0.334 0.707 0.900
0.666 0.207 0.600
0.834 0.793 0.100
0.096 0.042 0.349
0.223 0.583 0.165
0.277 0.417 0.665
0.404 0.958 0.849
0.596 0.458 0.651
0.723 0.917 0.835
0.777 0.083 0.335
0.904 0.542 0.151
0.135 0.170 0.801
0.365 0.830 0.301
0.635 0.330 0.199
0.865 0.670 0.699
0.026 0.612 0.170
0.036 0.051 0.846
0.108 0.741 0.755
0.126 0.802 0.987
0.149 0.859 0.209
0.201 0.570 0.920
0.249 0.249 0.891
0.251 0.751 0.391
0.299 0.430 0.420
0.351 0.141 0.709
0.374 0.198 0.487
0.392 0.259 0.255
0.464 0.949 0.346
0.474 0.388 0.670
0.526 0.888 0.830
0.536 0.449 0.154
0.608 0.759 0.245
0.626 0.698 0.013
0.649 0.641 0.791
0.701 0.930 0.080
0.749 0.251 0.109
0.751 0.749 0.609
0.799 0.070 0.580
0.851 0.359 0.291
0.874 0.302 0.513
0.892 0.241 0.745
0.964 0.551 0.654
0.974 0.112 0.330
```

---

The following is a DFT calculation (PBE with a Hubbard U) of a relaxed structure of Li2VF6.

Energy above the lowest structure with this stoichiometry (meV per atom): 72
Energy relative to the elements (meV per atom): -3077
E_tot (eV/f.u.): -47.61
Space-group type: Cmcm

```
Li2VF6
1.0
2.775 -7.937 0.000
2.775 7.937 0.000
0.000 0.000 5.614
Li V F
4 2 12
direct
0.135 0.865 0.750
0.166 0.834 0.250
0.834 0.166 0.750
0.865 0.135 0.250
0.378 0.622 0.750
0.622 0.378 0.250
0.114 0.371 0.520
0.114 0.371 0.980
0.260 0.740 0.750
0.371 0.114 0.020
0.371 0.114 0.480
0.489 0.511 0.750
0.511 0.489 0.250
0.629 0.886 0.520
0.629 0.886 0.980
0.740 0.260 0.250
0.886 0.629 0.020
0.886 0.629 0.480
```

---

The following is a DFT calculation (PBE with a Hubbard U) of a relaxed structure of LiCrSiO4.

Energy above the lowest structure with this stoichiometry (meV per atom): 36
Energy relative to the elements (meV per atom): -2730
E_tot (eV/f.u.): -51.14

```
LiCrSiO4
1.0
-2.054 3.124 -4.114
-4.458 -3.816 -0.672
-4.444 4.234 5.434
Li Cr Si O
4 4 4 16
direct
0.500 0.500 0.505
0.000 0.000 0.005
0.000 0.500 0.245
0.500 0.000 0.745
0.000 0.250 0.625
0.500 0.250 0.125
0.500 0.750 0.125
0.000 0.750 0.625
0.750 0.500 0.875
0.250 0.000 0.375
0.250 0.500 0.875
0.750 0.000 0.375
0.239 0.500 0.658
0.739 0.000 0.158
0.761 0.500 0.658
0.261 0.000 0.158
0.261 0.500 0.092
0.761 0.000 0.592
0.739 0.500 0.092
0.239 0.000 0.592
0.000 0.292 0.871
0.500 0.792 0.371
0.000 0.708 0.871
0.500 0.208 0.371
0.500 0.292 0.879
0.000 0.792 0.379
0.500 0.708 0.879
0.000 0.208 0.379
```

---

The following is a DFT calculation (PBE with a Hubbard U) of a relaxed structure of Li4Ti4Cr5O18.

Energy relative to the elements (meV per atom): -2713
E_tot (eV/f.u.): -238.28
Space-group type: Pbam

```
Li4Ti4Cr5O18
1.0
9.120 0.000 0.000
0.000 25.130 0.000
0.000 0.000 2.970
Li Ti Cr O
8 8 10 36
direct
0.196 0.005 0.000
0.203 0.803 0.000
0.297 0.303 0.000
0.304 0.505 0.000
0.696 0.495 0.000
0.703 0.697 0.000
0.797 0.197 0.000
0.804 0.995 0.000
0.004 0.897 0.000
0.149 0.195 0.500
0.351 0.695 0.500
0.496 0.397 0.000
0.504 0.603 0.000
0.649 0.305 0.500
0.851 0.805 0.500
0.996 0.103 0.000
0.000 0.500 0.000
0.013 0.690 0.000
0.144 0.413 0.500
0.356 0.913 0.500
0.487 0.190 0.000
0.500 0.000 0.000
0.513 0.810 0.000
0.644 0.087 0.500
0.856 0.587 0.500
0.987 0.310 0.000
0.006 0.421 0.000
0.049 0.841 0.500
0.053 0.059 0.500
0.099 0.244 0.000
0.116 0.335 0.500
0.146 0.714 0.500
0.148 0.493 0.500
0.184 0.146 0.000
0.206 0.915 0.000
0.294 0.415 0.000
0.316 0.646 0.000
0.352 0.993 0.500
0.354 0.214 0.500
0.384 0.835 0.500
0.401 0.744 0.000
0.447 0.559 0.500
0.451 0.341 0.500
0.494 0.921 0.000
0.506 0.079 0.000
0.549 0.659 0.500
0.553 0.441 0.500
0.599 0.256 0.000
0.616 0.165 0.500
0.646 0.786 0.500
0.648 0.007 0.500
0.684 0.354 0.000
0.706 0.585 0.000
0.794 0.085 0.000
0.816 0.854 0.000
0.852 0.507 0.500
0.854 0.286 0.500
0.884 0.665 0.500
0.901 0.756 0.000
0.947 0.941 0.500
0.951 0.159 0.500
0.994 0.579 0.000
```

---

The following is a DFT calculation (PBE with a Hubbard U) of a relaxed structure of Li2VF6.

Energy above the lowest structure with this stoichiometry (meV per atom): 97
Energy relative to the elements (meV per atom): -3052
E_tot (eV/f.u.): -47.38
Space-group type: P2_1/c

```
Li2VF6
1.0
7.807 0.000 0.000
0.000 4.866 0.000
-3.193 0.000 10.041
Li V F
8 4 24
direct
0.039 0.045 0.151
0.039 0.455 0.651
0.391 0.016 0.808
0.391 0.484 0.308
0.609 0.516 0.692
0.609 0.984 0.192
0.961 0.545 0.349
0.961 0.955 0.849
0.273 0.525 0.003
0.273 0.975 0.503
0.727 0.025 0.497
0.727 0.475 0.997
0.094 0.745 0.037
0.094 0.755 0.537
0.122 0.647 0.827
0.122 0.853 0.327
0.233 0.191 0.905
0.233 0.309 0.405
0.246 0.215 0.637
0.246 0.285 0.137
0.420 0.713 0.158
0.420 0.787 0.658
0.451 0.702 0.933
0.451 0.798 0.433
0.549 0.202 0.567
0.549 0.298 0.067
0.580 0.213 0.342
0.580 0.287 0.842
0.754 0.715 0.863
0.754 0.785 0.363
0.767 0.691 0.595
0.767 0.809 0.095
0.878 0.147 0.673
0.878 0.353 0.173
0.906 0.245 0.463
0.906 0.255 0.963
```

---

The following is a DFT calculation (PBE with a Hubbard U) of a relaxed structure of Li3Co3SbO8.

Energy above the lowest structure with this stoichiometry (meV per atom): 6
Energy relative to the elements (meV per atom): -1723
E_tot (eV/f.u.): -86.20
Space-group type: P-1

```
Li3Co3SbO8
1.0
6.050 0.000 0.000
3.013 5.256 0.000
2.987 1.521 9.849
Li Co Sb O
6 6 2 16
direct
0.000 0.000 0.000
0.000 0.000 0.500
0.246 0.755 0.255
0.500 0.500 0.000
0.500 0.500 0.500
0.754 0.245 0.745
0.000 0.500 0.000
0.246 0.250 0.751
0.250 0.247 0.250
0.500 0.000 0.500
0.750 0.753 0.750
0.754 0.750 0.249
0.000 0.500 0.500
0.500 0.000 0.000
0.089 0.613 0.126
0.117 0.608 0.622
0.121 0.150 0.616
0.155 0.110 0.121
0.352 0.373 0.383
0.357 0.360 0.891
0.383 0.893 0.877
0.413 0.880 0.372
0.587 0.120 0.628
0.617 0.107 0.123
0.643 0.640 0.109
0.648 0.627 0.617
0.845 0.890 0.879
0.879 0.850 0.384
0.883 0.392 0.378
0.911 0.387 0.874
```

---

The following is a DFT calculation (PBE with a Hubbard U) of a relaxed structure of Mo2H9C2NO7.

Energy above the lowest structure with this stoichiometry (meV per atom): 284
Energy relative to the elements (meV per atom): -738
E_tot (eV/f.u.): -117.93
Space-group type: C2/m

```
Mo2H9C2NO7
1.0
6.300 -9.308 0.000
6.300 9.308 0.000
-4.626 0.000 9.778
Mo H C N O
8 36 8 4 28
direct
0.021 0.275 0.631
0.096 0.096 0.407
0.176 0.176 0.853
0.275 0.021 0.631
0.725 0.979 0.369
0.824 0.824 0.147
0.904 0.904 0.593
0.979 0.725 0.369
0.026 0.506 0.483
0.032 0.711 0.951
0.068 0.611 0.821
0.112 0.788 0.846
0.160 0.650 0.121
0.202 0.556 0.993
0.212 0.888 0.154
0.283 0.283 0.106
0.289 0.968 0.049
0.307 0.663 0.853
0.337 0.693 0.147
0.350 0.840 0.879
0.369 0.369 0.835
0.389 0.932 0.179
0.432 0.472 0.198
0.444 0.798 0.007
0.472 0.432 0.198
0.494 0.974 0.517
0.506 0.026 0.483
0.528 0.568 0.802
0.556 0.202 0.993
0.568 0.528 0.802
0.611 0.068 0.821
0.631 0.631 0.165
0.650 0.160 0.121
0.663 0.307 0.853
0.693 0.337 0.147
0.711 0.032 0.951
0.717 0.717 0.894
0.788 0.112 0.846
0.798 0.444 0.007
0.840 0.350 0.879
0.888 0.212 0.154
0.932 0.389 0.179
0.968 0.289 0.049
0.974 0.494 0.517
0.103 0.713 0.897
0.235 0.656 0.070
0.287 0.897 0.103
0.344 0.765 0.930
0.656 0.235 0.070
0.713 0.103 0.897
0.765 0.344 0.930
0.897 0.287 0.103
0.242 0.758 0.000
0.347 0.653 0.500
0.653 0.347 0.500
0.758 0.242 0.000
0.011 0.011 0.224
0.033 0.829 0.566
0.057 0.257 0.810
0.100 0.665 0.363
0.117 0.117 0.617
0.171 0.967 0.434
0.172 0.419 0.667
0.200 0.200 0.041
0.238 0.238 0.428
0.257 0.057 0.810
0.335 0.900 0.637
0.345 0.345 0.910
0.419 0.172 0.667
0.499 0.499 0.443
0.501 0.501 0.557
0.581 0.828 0.333
0.655 0.655 0.090
0.665 0.100 0.363
0.743 0.943 0.190
0.762 0.762 0.572
0.800 0.800 0.959
0.828 0.581 0.333
0.829 0.033 0.566
0.883 0.883 0.383
0.900 0.335 0.637
0.943 0.743 0.190
0.967 0.171 0.434
0.989 0.989 0.776
```

---

The following is a DFT calculation (PBE with a Hubbard U) of a relaxed structure of CaNi4O8.

Energy above the lowest structure with this stoichiometry (meV per atom): 104
Energy relative to the elements (meV per atom): -1158
E_tot (eV/f.u.): -64.11
Space-group type: Cm

```
CaNi4O8
1.0
6.436 -1.496 0.000
6.436 1.496 0.000
-5.965 0.000 6.731
Ca Ni O
1 4 8
direct
0.000 0.000 0.000
0.180 0.180 0.504
0.371 0.371 0.215
0.700 0.700 0.859
0.892 0.892 0.565
0.080 0.080 0.785
0.341 0.341 0.977
0.381 0.381 0.703
0.404 0.404 0.448
0.682 0.682 0.636
0.691 0.691 0.369
0.736 0.736 0.102
0.992 0.992 0.292
```

---

The following is a DFT calculation (PBE with a Hubbard U) of a relaxed structure of Na3Ni7O12.

Energy relative to the elements (meV per atom): -1137
E_tot (eV/f.u.): -102.80
Space-group type: P1

```
Na3Ni7O12
1.0
5.415 0.000 0.000
-1.604 5.599 0.000
-0.777 -1.555 7.496
Na Ni O
3 7 12
direct
0.000 0.000 0.000
0.003 0.189 0.654
0.994 0.496 0.006
0.490 0.079 0.838
0.492 0.749 0.501
0.498 0.414 0.175
0.498 0.586 0.833
0.503 0.251 0.502
0.511 0.920 0.177
0.997 0.822 0.348
0.285 0.956 0.568
0.294 0.662 0.269
0.302 0.486 0.584
0.303 0.113 0.265
0.306 0.307 0.923
0.316 0.818 0.946
0.679 0.863 0.737
0.682 0.342 0.744
0.699 0.552 0.420
0.703 0.182 0.090
0.707 0.003 0.408
0.722 0.719 0.108
```

---

Q: Which value of E_tot does entry 8 give?
A: -64.11 eV/f.u.